No. 1
This record from Materials Project describes an optimized crystal structure of Yb3Os. The functional is r²SCAN.

Calculated values
- Formation enthalpy at 0 K: -0.070 eV per atom

Unit cell a=7.0684 b=7.0684 c=7.0684 alpha=90.00 beta=90.00 gamma=90.00
With the nearest neighbours (Å) after each atom.
Space group Fm-3m (No. 225)
Inequivalent atoms, fractional coordinates:
Yb  0.0000  0.0000  0.0000 x4  8 Yb 3.06
Yb  0.2500  0.2500  0.2500 x8  4 Os 3.06, 4 Yb 3.06
Os  0.0000  0.0000  0.5000 x4  8 Yb 3.06



No. 2
This record from Materials Project describes an optimized crystal structure of CsBr2F. The functional is r²SCAN.

Calculated values
- Formation enthalpy at 0 K: -1.490 eV per atom

Unit cell a=4.2784 b=4.2784 c=7.2995 alpha=90.00 beta=90.00 gamma=90.00
With the nearest neighbours (Å) after each atom.
Space group P4/mmm (No. 123)
Inequivalent atoms, fractional coordinates:
Cs  0.0000  0.0000  0.0000 x1  4 F 3.03
Br  0.5000  0.5000  0.3371 x2  1 Br 2.38, 1 F 2.46
F  0.5000  0.5000  0.0000 x1  2 Br 2.46



No. 3
This record from Materials Project describes an optimized crystal structure of TlSbS2. The functional is r²SCAN.

Calculated values
- Formation enthalpy at 0 K: -0.405 eV per atom

Unit cell a=6.2302 b=6.4956 c=11.8501 alpha=101.80 beta=97.14 gamma=104.65
With the nearest neighbours (Å) after each atom.
Space group P-1 (No. 2)
Inequivalent atoms, fractional coordinates:
Tl  0.0666  0.3087  0.1660 x2  5 S 3.12-3.40
Tl  0.3968  0.7166  0.5823 x2  5 S 3.03-3.29
Sb  0.1033  0.2096  0.6587 x2  3 S 2.42-2.63
Sb  0.4653  0.7925  0.0926 x2  2 S 2.43-2.46
S  0.0851  0.1799  0.4058 x2  1 Sb 2.42
S  0.1366  0.2087  0.8817 x2  2 Sb 2.46-2.63
S  0.4838  0.8135  0.8625 x2  1 Sb 2.43
S  0.4985  0.7908  0.3257 x2  2 Sb 2.47-2.75



No. 4
This record from Materials Project describes an optimized crystal structure of As2Se3. The functional is r²SCAN.

Calculated values
- Formation enthalpy at 0 K: -0.139 eV per atom

Unit cell a=4.4907 b=10.3767 c=12.8293 alpha=90.00 beta=110.03 gamma=90.00
With the nearest neighbours (Å) after each atom.
Space group P2_1/c (No. 14)
Inequivalent atoms, fractional coordinates:
As  0.1089  0.1781  0.4849 x4  3 Se 2.39-2.45
As  0.3803  0.1974  0.7634 x4  3 Se 2.41-2.43
Se  0.1311  0.6243  0.5991 x4  2 As 2.39-2.42
Se  0.3143  0.0996  0.3442 x4  2 As 2.41-2.43
Se  0.4514  0.7064  0.3804 x4  2 As 2.43-2.45



No. 5
This record from Materials Project describes an optimized crystal structure of DyGaPd. The functional is r²SCAN.

Calculated values
- Formation enthalpy at 0 K: -0.958 eV per atom

Unit cell a=6.9394 b=4.4554 c=7.5363 alpha=90.00 beta=90.00 gamma=90.00
With the nearest neighbours (Å) after each atom.
Space group Pnma (No. 62)
Inequivalent atoms, fractional coordinates:
Dy  0.0177  0.2500  0.1993 x4  5 Pd 2.89-3.16, 6 Ga 3.06-3.21
Ga  0.1776  0.2500  0.5775 x4  4 Pd 2.58-2.73
Pd  0.2150  0.7500  0.4055 x4  4 Ga 2.58-2.73, 1 Dy 2.89



No. 6
This record from Materials Project describes an optimized crystal structure of K2PaF7. The functional is r²SCAN.

Calculated values
- Formation enthalpy at 0 K: -3.755 eV per atom

Unit cell a=13.6892 b=6.6874 c=8.1178 alpha=90.00 beta=125.38 gamma=90.00
With the nearest neighbours (Å) after each atom.
Space group C2/c (No. 15)
Inequivalent atoms, fractional coordinates:
K  0.1755  0.0078  0.2459 x8  8 F 2.64-2.91
Pa  0.0000  0.4767  0.7500 x4  7 F 2.16-2.29
F  0.0000  0.1482  0.7500 x4  1 Pa 2.20
F  0.0767  0.3649  0.0691 x8  2 Pa 2.29-2.48, 2 F 2.49-2.54
F  0.1146  0.2749  0.4357 x8  1 Pa 2.18
F  0.1788  0.3829  0.8557 x8  1 Pa 2.16



No. 7
This record from Materials Project describes an optimized crystal structure of As2S3. The functional is r²SCAN.

Calculated values
- Formation enthalpy at 0 K: -0.156 eV per atom

Unit cell a=4.4718 b=10.0422 c=12.1990 alpha=90.00 beta=110.99 gamma=90.00
With the nearest neighbours (Å) after each atom.
Space group P2_1/c (No. 14)
Inequivalent atoms, fractional coordinates:
As  0.0800  0.1927  0.2336 x4  3 S 2.27-2.29
As  0.3622  0.1800  0.5169 x4  3 S 2.25-2.29
S  0.0555  0.7118  0.6206 x4  2 As 2.29
S  0.1570  0.1114  0.6541 x4  2 As 2.27-2.28
S  0.3975  0.6290  0.3999 x4  2 As 2.25-2.27



No. 8
This record from Materials Project describes an optimized crystal structure of MnSe. The functional is r²SCAN.

Calculated values
- Formation enthalpy at 0 K: -0.950 eV per atom

Unit cell a=4.1980 b=4.1980 c=6.8046 alpha=90.00 beta=90.00 gamma=120.00
With the nearest neighbours (Å) after each atom.
Space group P6_3mc (No. 186)
Inequivalent atoms, fractional coordinates:
Mn  0.3333  0.6667  0.0000 x2  4 Se 2.56-2.57
Se  0.3333  0.6667  0.3773 x2  4 Mn 2.56-2.57



No. 9
This record from Materials Project describes an optimized crystal structure of AlPt2. The functional is r²SCAN.

Calculated values
- Formation enthalpy at 0 K: -0.924 eV per atom

Unit cell a=16.3703 b=3.9246 c=5.4645 alpha=90.00 beta=90.00 gamma=90.00
With the nearest neighbours (Å) after each atom.
Space group Pmma (No. 51)
Inequivalent atoms, fractional coordinates:
Al  0.0000  0.0000  0.0000 x2  8 Pt 2.52-2.73
Al  0.0911  0.5000  0.3092 x4  10 Pt 2.61-2.82
Al  0.2500  0.5000  0.7924 x2  10 Pt 2.61-2.86
Pt  0.0000  0.0000  0.5000 x2  6 Al 2.68-2.73, 6 Pt 2.76-2.79
Pt  0.0691  0.5000  0.7974 x4  5 Al 2.52-2.82, 4 Pt 2.79
Pt  0.1563  0.0000  0.0511 x4  5 Al 2.57-2.86, 6 Pt 2.72-2.79
Pt  0.1677  0.0000  0.5550 x4  4 Al 2.69-2.71, 8 Pt 2.70-2.86
Pt  0.2500  0.5000  0.2709 x2  4 Al 2.61-2.85, 8 Pt 2.77-2.84



No. 10
This record from Materials Project describes an optimized crystal structure of ThIr2. The functional is r²SCAN.

Calculated values
- Formation enthalpy at 0 K: -0.890 eV per atom

Unit cell a=7.6867 b=7.6867 c=7.6867 alpha=90.00 beta=90.00 gamma=90.00
With the nearest neighbours (Å) after each atom.
Space group Fd-3m (No. 227, origin choice 2)
Inequivalent atoms, fractional coordinates:
Th  0.1250  0.1250  0.1250 x8  12 Ir 3.19, 4 Th 3.33
Ir  0.0000  0.0000  0.5000 x16  6 Ir 2.72



No. 11
This record from Materials Project describes an optimized crystal structure of P2Pt. The functional is r²SCAN.

Calculated values
- Formation enthalpy at 0 K: -0.790 eV per atom

Unit cell a=5.7226 b=5.7226 c=5.7226 alpha=90.00 beta=90.00 gamma=90.00
With the nearest neighbours (Å) after each atom.
Space group Pa-3 (No. 205)
Inequivalent atoms, fractional coordinates:
P  0.1098  0.1098  0.1098 x8  1 P 2.18, 3 Pt 2.40
Pt  0.0000  0.0000  0.5000 x4  6 P 2.40



No. 12
This record from Materials Project describes an optimized crystal structure of Pr4Bi3. The functional is r²SCAN.

Calculated values
- Formation enthalpy at 0 K: -1.004 eV per atom

Unit cell a=9.7552 b=9.7552 c=9.7552 alpha=90.00 beta=90.00 gamma=90.00
With the nearest neighbours (Å) after each atom.
Space group I-43d (No. 220)
Inequivalent atoms, fractional coordinates:
Pr  0.0707  0.4293  0.5707 x16  6 Bi 3.25-3.51
Bi  0.0000  0.2500  0.8750 x12  8 Pr 3.25-3.51



In μB per formula unit, the magnetization values for the records above are, in order, 0.00, 0.00, 0.00, 0.00, 0.00, 0.00, 0.00, 5.00, 0.00, 0.00, 0.00, 0.00.
In eV/atom, the VASP energy values for the records above are, in order, -40.714, -15.179, -24.144, -14.609, -23.086, -14.832, -10.860, -15.447, -37.493, -60.288, -23.954, -42.879.